# 1
PBE-GGA B12Pb6O25, relaxed; space-group type = R-3m (166)
1.0
-5.4248 6.2371 3.3035
-6.3927 -0.4136 -6.1811
-5.6609 -5.3401 4.3222
B Pb O
12 6 25
direct
0.5000 0.7304 0.2696 B
0.2696 0.5000 0.7304 B
0.7304 0.2696 0.5000 B
0.2696 0.7304 0.5000 B
0.5000 0.2696 0.7304 B
0.7304 0.5000 0.2696 B
0.3928 0.3928 0.9659 B
0.9659 0.3928 0.3928 B
0.3928 0.9659 0.3928 B
0.6072 0.6072 0.0341 B
0.0341 0.6072 0.6072 B
0.6072 0.0341 0.6072 B
0.5846 0.2024 0.2024 Pb
0.2024 0.5846 0.2024 Pb
0.2024 0.2024 0.5846 Pb
0.4154 0.7976 0.7976 Pb
0.7976 0.4154 0.7976 Pb
0.7976 0.7976 0.4154 Pb
0.2882 0.4991 0.8936 O
0.8936 0.2882 0.4991 O
0.4991 0.8936 0.2882 O
0.8936 0.4991 0.2882 O
0.2882 0.8936 0.4991 O
0.4991 0.2882 0.8936 O
0.7118 0.5009 0.1064 O
0.1064 0.7118 0.5009 O
0.5009 0.1064 0.7118 O
0.1064 0.5009 0.7118 O
0.7118 0.1064 0.5009 O
0.5009 0.7118 0.1064 O
0.3194 0.6461 0.6461 O
0.6461 0.3194 0.6461 O
0.6461 0.6461 0.3194 O
0.6806 0.3539 0.3539 O
0.3539 0.6806 0.3539 O
0.3539 0.3539 0.6806 O
0.3918 0.3918 0.1216 O
0.1216 0.3918 0.3918 O
0.3918 0.1216 0.3918 O
0.6082 0.6082 0.8784 O
0.8784 0.6082 0.6082 O
0.6082 0.8784 0.6082 O
0.5000 0.5000 0.5000 O

=====

# 2
PBE-GGA B2Pb2O5, relaxed; space-group type = P1 (1)
1.0
7.1002 0.0000 0.0000
2.0461 7.0342 0.0000
1.8334 1.4378 7.5836
B Pb O
6 6 15
direct
0.2157 0.0952 0.4935 B
0.2092 0.1008 0.1697 B
0.8897 0.2849 0.0165 B
0.7303 0.5775 0.8074 B
0.8776 0.2484 0.7093 B
0.1745 0.7980 0.4075 B
0.6855 0.9400 0.0108 Pb
0.2530 0.8913 0.8665 Pb
0.4374 0.4268 0.1835 Pb
0.8811 0.4956 0.3387 Pb
0.7032 0.0248 0.4962 Pb
0.3524 0.4063 0.6748 Pb
0.3491 0.1079 0.6063 O
0.7348 0.1270 0.7402 O
0.7195 0.1999 0.1074 O
0.6172 0.7623 0.7790 O
0.8068 0.5014 0.9634 O
0.9917 0.2054 0.8531 O
0.1974 0.8896 0.5348 O
0.3560 0.0837 0.0060 O
0.0135 0.2270 0.5345 O
0.2995 0.1467 0.3043 O
0.1556 0.9073 0.2400 O
0.1706 0.6067 0.4473 O
0.0314 0.2611 0.1362 O
0.5888 0.3737 0.4175 O
0.7662 0.4594 0.6834 O

=====

# 3
PBE-GGA B10Pb4O21, relaxed; space-group type = P2_1/c (14)
1.0
11.4548 0.0000 0.0000
0.0000 6.6655 0.0000
0.0000 6.4913 11.4253
B Pb O
20 8 42
direct
0.2199 0.2179 0.4603 B
0.7199 0.7821 0.0397 B
0.7801 0.7821 0.5397 B
0.2801 0.2179 0.9603 B
0.0095 0.7373 0.7591 B
0.5095 0.2627 0.7409 B
0.9905 0.2627 0.2409 B
0.4905 0.7373 0.2591 B
0.8090 0.4843 0.2258 B
0.3090 0.5157 0.2742 B
0.1910 0.5157 0.7742 B
0.6910 0.4843 0.7258 B
0.7865 0.8454 0.7114 B
0.2865 0.1546 0.7886 B
0.2135 0.1546 0.2886 B
0.7135 0.8454 0.2114 B
0.2015 0.9478 0.6828 B
0.7015 0.0522 0.8172 B
0.7985 0.0522 0.3172 B
0.2985 0.9478 0.1828 B
0.2690 0.6434 0.5231 Pb
0.7690 0.3566 0.9769 Pb
0.7310 0.3566 0.4769 Pb
0.2310 0.6434 0.0231 Pb
0.4819 0.6938 0.8248 Pb
0.9819 0.3062 0.6752 Pb
0.5181 0.3062 0.1752 Pb
0.0181 0.6938 0.3248 Pb
0.7682 0.2618 0.3219 O
0.2682 0.7382 0.1781 O
0.2318 0.7382 0.6781 O
0.7318 0.2618 0.8219 O
0.3057 0.3363 0.2381 O
0.8057 0.6637 0.2619 O
0.6943 0.6637 0.7619 O
0.1943 0.3363 0.7381 O
0.2245 0.1610 0.5742 O
0.7245 0.8390 0.9258 O
0.7755 0.8390 0.4258 O
0.2755 0.1610 0.0742 O
0.2624 0.9491 0.7805 O
0.7624 0.0509 0.7195 O
0.7376 0.0509 0.2195 O
0.2376 0.9491 0.2805 O
0.9320 0.4686 0.1975 O
0.4320 0.5314 0.3025 O
0.0680 0.5314 0.8025 O
0.5680 0.4686 0.6975 O
0.0695 0.9445 0.7039 O
0.5695 0.0555 0.7961 O
0.9305 0.0555 0.2961 O
0.4305 0.9445 0.2039 O
0.7348 0.5497 0.1207 O
0.2348 0.4503 0.3793 O
0.2652 0.4503 0.8793 O
0.7652 0.5497 0.6207 O
0.7956 0.9336 0.5814 O
0.2956 0.0664 0.9186 O
0.2044 0.0664 0.4186 O
0.7044 0.9336 0.0814 O
0.4374 0.6271 0.0120 O
0.9374 0.3729 0.4880 O
0.5626 0.3729 0.9880 O
0.0626 0.6271 0.5120 O
0.8923 0.7246 0.7750 O
0.3923 0.2754 0.7250 O
0.1077 0.2754 0.2250 O
0.6077 0.7246 0.2750 O
0.5000 0.0000 0.5000 O
0.0000 0.0000 0.0000 O

=====

The evaluated E (MP2020) for the records listed, in turn: -7.658; -7.346; -7.639 eV/atom.
The evaluated formation energy from the elements for the records listed, in turn: -2399; -2288; -2337 meV per atom.